The following is a DFT calculation (PBE) of a geometry-optimized BaNa2Al4Si4O16 structure.

## Properties
- energy relative to the elements (eV/f.u.) = -89.08
- energy above the lowest structure with this stoichiometry (kcal/mol of atoms) = 0.00

a b c (Å): 10.7750 10.7750 10.7750
angles (deg): 132.45 124.22 76.27
With the nearest neighbours (Å) after each atom.
Positions (direct):
Ba: 0.0000 0.0000 0.0000  10 O 2.77-3.06
Ba: 0.5000 0.5000 0.0000  10 O 2.77-3.06
Na: 0.0762 0.2088 0.7866  4 O 2.39-2.59
Na: 0.4222 0.2895 0.2134  4 O 2.39-2.59
Na: 0.5762 0.7895 0.8674  4 O 2.39-2.59
Na: 0.9222 0.7088 0.1326  4 O 2.39-2.59
Al: 0.2770 0.5202 0.6154  4 O 1.75-1.78
Al: 0.2864 0.6218 0.2222  4 O 1.74-1.78
Al: 0.3996 0.0642 0.7778  4 O 1.74-1.78
Al: 0.4048 0.0202 0.2432  4 O 1.75-1.78
Al: 0.7770 0.1616 0.7568  4 O 1.75-1.78
Al: 0.7864 0.5642 0.6646  4 O 1.74-1.78
Al: 0.8996 0.1218 0.3354  4 O 1.74-1.78
Al: 0.9048 0.6616 0.3846  4 O 1.75-1.78
Si: 0.0956 0.4232 0.2055  4 O 1.62-1.65
Si: 0.1013 0.4846 0.7701  4 O 1.63-1.65
Si: 0.2146 0.9846 0.3834  4 O 1.63-1.65
Si: 0.2177 0.8901 0.7945  4 O 1.62-1.65
Si: 0.5956 0.3901 0.6724  4 O 1.62-1.65
Si: 0.6013 0.8312 0.6166  4 O 1.63-1.65
Si: 0.7146 0.3312 0.2299  4 O 1.63-1.65
Si: 0.7177 0.9232 0.3276  4 O 1.62-1.65
O: 0.0119 0.5835 0.2774  1 Si 1.62, 1 Al 1.76
O: 0.0294 0.8206 0.6524  1 Si 1.64, 1 Al 1.77
O: 0.0373 0.0104 0.2838  1 Si 1.65, 1 Al 1.77
O: 0.1682 0.3770 0.3476  1 Si 1.64, 1 Al 1.77
O: 0.1928 0.7904 0.2984  1 Si 1.64, 1 Al 1.74
O: 0.2047 0.4993 0.7121  1 Si 1.63, 1 Al 1.75
O: 0.2266 0.5104 0.9730  1 Si 1.65, 1 Al 1.77
O: 0.2304 0.4608 0.1984  1 Si 1.65, 1 Al 1.78
O: 0.2625 0.0320 0.8016  1 Si 1.65, 1 Al 1.78
O: 0.2739 0.9980 0.0279  1 Si 1.65, 1 Al 1.78
O: 0.2873 0.9993 0.2946  1 Si 1.63, 1 Al 1.75
O: 0.3061 0.7345 0.7226  1 Si 1.62, 1 Al 1.76
O: 0.3174 0.1232 0.6330  1 Si 1.64, 1 Al 1.77
O: 0.4700 0.4980 0.7240  1 Si 1.65, 1 Al 1.78
O: 0.4902 0.6844 0.3670  1 Si 1.64, 1 Al 1.77
O: 0.4920 0.8944 0.7016  1 Si 1.64, 1 Al 1.74
O: 0.5119 0.2345 0.4284  1 Si 1.62, 1 Al 1.76
O: 0.5294 0.8770 0.2088  1 Si 1.64, 1 Al 1.77
O: 0.5373 0.2536 0.0270  1 Si 1.65, 1 Al 1.77
O: 0.6682 0.3206 0.7912  1 Si 1.64, 1 Al 1.77
O: 0.6928 0.3944 0.4024  1 Si 1.64, 1 Al 1.74
O: 0.7047 0.9926 0.7054  1 Si 1.63, 1 Al 1.75
O: 0.7266 0.7536 0.7162  1 Si 1.65, 1 Al 1.77
O: 0.7304 0.5320 0.7696  1 Si 1.65, 1 Al 1.78
O: 0.7625 0.9608 0.2304  1 Si 1.65, 1 Al 1.78
O: 0.7739 0.7460 0.2760  1 Si 1.65, 1 Al 1.78
O: 0.7873 0.4926 0.2879  1 Si 1.63, 1 Al 1.75
O: 0.8061 0.0835 0.5716  1 Si 1.62, 1 Al 1.76
O: 0.8174 0.1844 0.1943  1 Si 1.64, 1 Al 1.77
O: 0.9700 0.2460 0.9721  1 Si 1.65, 1 Al 1.78
O: 0.9902 0.6232 0.8057  1 Si 1.64, 1 Al 1.77
O: 0.9920 0.2904 0.5976  1 Si 1.64, 1 Al 1.74